This record from the Materials Project describes TbCoB4 after structural relaxation. The functional is meta-GGA r2SCAN.

a = 5.9003 Å, b = 11.4291 Å, c = 3.4128 Å
α = 90.00°, β = 90.00°, γ = 90.00°
Atoms (fractional coordinates):
Tb1 0.1267 0.1503 0.0000
Tb2 0.3733 0.6503 0.0000
Tb3 0.6267 0.3497 0.0000
Tb4 0.8733 0.8497 0.0000
Co1 0.1332 0.4116 0.0000
Co2 0.3668 0.9116 0.0000
Co3 0.6332 0.0884 0.0000
Co4 0.8668 0.5884 0.0000
B1 0.0220 0.6896 0.5000
B2 0.1118 0.5460 0.5000
B3 0.1398 0.9671 0.5000
B4 0.2180 0.8162 0.5000
B5 0.2820 0.3162 0.5000
B6 0.3602 0.4671 0.5000
B7 0.3882 0.0460 0.5000
B8 0.4780 0.1896 0.5000
B9 0.5220 0.8104 0.5000
B10 0.6118 0.9540 0.5000
B11 0.6398 0.5329 0.5000
B12 0.7180 0.6838 0.5000
B13 0.7820 0.1838 0.5000
B14 0.8602 0.0329 0.5000
B15 0.8882 0.4540 0.5000
B16 0.9780 0.3104 0.5000

* SG: No. 55
* energy of formation from the pure elements: -0.593 eV/atom

This record from the Materials Project describes CuNiSb2 after structural relaxation. The functional is meta-GGA r2SCAN.

a = 4.0586 Å, b = 4.0586 Å, c = 5.1098 Å
α = 90.00°, β = 90.00°, γ = 120.00°
Atoms (fractional coordinates):
Cu1 0.0000 0.0000 0.0000
Ni1 0.0000 0.0000 0.5000
Sb1 0.3333 0.6667 0.2743
Sb2 0.6667 0.3333 0.7257

* SG: No. 164
* energy of formation from the pure elements: -0.127 eV/atom

This record from the Materials Project describes Yb3P6Pd20 after structural relaxation. The functional is meta-GGA r2SCAN.

a = 8.5862 Å, b = 8.5862 Å, c = 8.5862 Å
α = 60.00°, β = 60.00°, γ = 60.00°
Atoms (fractional coordinates):
Yb1 0.0000 0.0000 0.0000
Yb2 0.2500 0.2500 0.2500
Yb3 0.7500 0.7500 0.7500
P1 0.2633 0.2633 0.7367
P2 0.2633 0.7367 0.2633
P3 0.2633 0.7367 0.7367
P4 0.7367 0.2633 0.2633
P5 0.7367 0.2633 0.7367
P6 0.7367 0.7367 0.2633
Pd1 0.0000 0.0000 0.3447
Pd2 0.0000 0.0000 0.6553
Pd3 0.0000 0.3447 0.0000
Pd4 0.0000 0.3447 0.6553
Pd5 0.0000 0.6553 0.0000
Pd6 0.0000 0.6553 0.3447
Pd7 0.1504 0.6165 0.6165
Pd8 0.3447 0.0000 0.0000
Pd9 0.3447 0.0000 0.6553
Pd10 0.3447 0.6553 0.0000
Pd11 0.3835 0.3835 0.3835
Pd12 0.3835 0.3835 0.8496
Pd13 0.3835 0.8496 0.3835
Pd14 0.6165 0.1504 0.6165
Pd15 0.6165 0.6165 0.1504
Pd16 0.6165 0.6165 0.6165
Pd17 0.6553 0.0000 0.0000
Pd18 0.6553 0.0000 0.3447
Pd19 0.6553 0.3447 0.0000
Pd20 0.8496 0.3835 0.3835

* SG: No. 225
* energy of formation from the pure elements: -0.765 eV/atom

This record from the Materials Project describes K2Ag6Sn3S10 after structural relaxation. The functional is meta-GGA r2SCAN.

a = 24.5484 Å, b = 6.3728 Å, c = 13.2785 Å
α = 90.00°, β = 90.00°, γ = 90.00°
Atoms (fractional coordinates):
K1 0.1788 0.0769 0.2171
K2 0.1788 0.9231 0.7171
K3 0.3212 0.4231 0.7171
K4 0.3212 0.5769 0.2171
K5 0.6788 0.4231 0.7829
K6 0.6788 0.5769 0.2829
K7 0.8212 0.0769 0.2829
K8 0.8212 0.9231 0.7829
Ag1 0.0406 0.4140 0.9188
Ag2 0.0406 0.5860 0.4188
Ag3 0.0914 0.0005 0.4707
Ag4 0.0914 0.9995 0.9707
Ag5 0.0991 0.4408 0.7136
Ag6 0.0991 0.5592 0.2136
Ag7 0.4009 0.0592 0.2136
Ag8 0.4009 0.9408 0.7136
Ag9 0.4086 0.4995 0.9707
Ag10 0.4086 0.5005 0.4707
Ag11 0.4594 0.0860 0.4188
Ag12 0.4594 0.9140 0.9188
Ag13 0.5406 0.0860 0.0812
Ag14 0.5406 0.9140 0.5812
Ag15 0.5914 0.4995 0.5293
Ag16 0.5914 0.5005 0.0293
Ag17 0.5991 0.0592 0.2864
Ag18 0.5991 0.9408 0.7864
Ag19 0.9009 0.4408 0.7864
Ag20 0.9009 0.5592 0.2864
Ag21 0.9086 0.0005 0.0293
Ag22 0.9086 0.9995 0.5293
Ag23 0.9594 0.4140 0.5812
Ag24 0.9594 0.5860 0.0812
Sn1 0.0000 0.0312 0.2500
Sn2 0.0000 0.9688 0.7500
Sn3 0.2010 0.4563 0.9437
Sn4 0.2010 0.5437 0.4437
Sn5 0.2990 0.0437 0.4437
Sn6 0.2990 0.9563 0.9437
Sn7 0.5000 0.4688 0.7500
Sn8 0.5000 0.5312 0.2500
Sn9 0.7010 0.0437 0.0563
Sn10 0.7010 0.9563 0.5563
Sn11 0.7990 0.4563 0.5563
Sn12 0.7990 0.5437 0.0563
S1 0.0400 0.1926 0.6221
S2 0.0400 0.8074 0.1221
S3 0.0686 0.2421 0.3304
S4 0.0686 0.7579 0.8304
S5 0.1221 0.3411 0.0363
S6 0.1221 0.6589 0.5363
S7 0.1959 0.4096 0.7690
S8 0.1959 0.5904 0.2690
S9 0.2106 0.1798 0.5020
S10 0.2106 0.8202 0.0020
S11 0.2894 0.3202 0.0020
S12 0.2894 0.6798 0.5020
S13 0.3041 0.0904 0.2690
S14 0.3041 0.9096 0.7690
S15 0.3779 0.1589 0.5363
S16 0.3779 0.8411 0.0363
S17 0.4314 0.2579 0.8304
S18 0.4314 0.7421 0.3304
S19 0.4600 0.3074 0.1221
S20 0.4600 0.6926 0.6221
S21 0.5400 0.3074 0.3779
S22 0.5400 0.6926 0.8779
S23 0.5686 0.2579 0.6696
S24 0.5686 0.7421 0.1696
S25 0.6221 0.1589 0.9637
S26 0.6221 0.8411 0.4637
S27 0.6959 0.0904 0.2310
S28 0.6959 0.9096 0.7310
S29 0.7106 0.3202 0.4980
S30 0.7106 0.6798 0.9980
S31 0.7894 0.1798 0.9980
S32 0.7894 0.8202 0.4980
S33 0.8041 0.4096 0.7310
S34 0.8041 0.5904 0.2310
S35 0.8779 0.3411 0.4637
S36 0.8779 0.6589 0.9637
S37 0.9314 0.2421 0.1696
S38 0.9314 0.7579 0.6696
S39 0.9600 0.1926 0.8779
S40 0.9600 0.8074 0.3779

* SG: No. 60
* energy of formation from the pure elements: -0.528 eV/atom

This record from the Materials Project describes Y3CrS6 after structural relaxation. The functional is meta-GGA r2SCAN.

a = 13.3180 Å, b = 15.9621 Å, c = 3.7692 Å
α = 90.00°, β = 90.00°, γ = 90.00°
Atoms (fractional coordinates):
Y1 0.0493 0.2209 0.0000
Y2 0.1815 0.6472 0.0000
Y3 0.2431 0.9012 0.5000
Y4 0.2569 0.4012 0.0000
Y5 0.3185 0.1472 0.5000
Y6 0.4507 0.7209 0.5000
Y7 0.5493 0.2791 0.5000
Y8 0.6815 0.8528 0.5000
Y9 0.7431 0.5988 0.0000
Y10 0.7569 0.0988 0.5000
Y11 0.8185 0.3528 0.0000
Y12 0.9507 0.7791 0.0000
Cr1 0.0000 0.0000 0.5000
Cr2 0.0000 0.5000 0.5000
Cr3 0.5000 0.0000 0.0000
Cr4 0.5000 0.5000 0.0000
S1 0.0212 0.4025 0.0000
S2 0.0826 0.9251 0.0000
S3 0.1037 0.7527 0.5000
S4 0.1199 0.1082 0.5000
S5 0.1802 0.5198 0.5000
S6 0.1886 0.2895 0.5000
S7 0.3114 0.7895 0.0000
S8 0.3198 0.0198 0.0000
S9 0.3801 0.6082 0.0000
S10 0.3963 0.2527 0.0000
S11 0.4174 0.4251 0.5000
S12 0.4788 0.9025 0.5000
S13 0.5212 0.0975 0.5000
S14 0.5826 0.5749 0.5000
S15 0.6037 0.7473 0.0000
S16 0.6199 0.3918 0.0000
S17 0.6802 0.9802 0.0000
S18 0.6886 0.2105 0.0000
S19 0.8114 0.7105 0.5000
S20 0.8198 0.4802 0.5000
S21 0.8801 0.8918 0.5000
S22 0.8963 0.2473 0.5000
S23 0.9174 0.0749 0.0000
S24 0.9788 0.5975 0.0000

* SG: No. 58
* energy of formation from the pure elements: -2.042 eV/atom

This record from the Materials Project describes NdI3 after structural relaxation. The functional is meta-GGA r2SCAN.

a = 11.0488 Å, b = 11.0488 Å, c = 4.1335 Å
α = 90.00°, β = 90.00°, γ = 120.00°
Atoms (fractional coordinates):
Nd1 0.3333 0.6667 0.2500
Nd2 0.6667 0.3333 0.7500
I1 0.2095 0.4189 0.7500
I2 0.2095 0.7905 0.7500
I3 0.4189 0.2095 0.2500
I4 0.5811 0.7905 0.7500
I5 0.7905 0.2095 0.2500
I6 0.7905 0.5811 0.2500

* SG: No. 194
* energy of formation from the pure elements: -1.598 eV/atom

This record from the Materials Project describes KH5O3 after structural relaxation. The functional is meta-GGA r2SCAN.

a = 7.0599 Å, b = 7.0599 Å, c = 8.3284 Å
α = 114.78°, β = 114.78°, γ = 90.50°
Atoms (fractional coordinates):
K1 0.1174 0.6183 0.2393
K2 0.1284 0.1284 0.2601
K3 0.3817 0.8826 0.7607
K4 0.8716 0.8716 0.7399
H1 0.0775 0.4671 0.5823
H2 0.0799 0.1263 0.5821
H3 0.2098 0.6201 0.8968
H4 0.2131 0.2977 0.9013
H5 0.3513 0.3870 0.7534
H6 0.3653 0.2552 0.0823
H7 0.3799 0.7902 0.1032
H8 0.5260 0.4388 0.3971
H9 0.5329 0.9225 0.4177
H10 0.5609 0.1463 0.5979
H11 0.5612 0.4740 0.6029
H12 0.6130 0.6487 0.2466
H13 0.6163 0.1544 0.2549
H14 0.7023 0.7869 0.0987
H15 0.7059 0.2527 0.0825
H16 0.7448 0.6347 0.9177
H17 0.7473 0.2941 0.9175
H18 0.8456 0.3837 0.7451
H19 0.8537 0.4391 0.4021
H20 0.8737 0.9201 0.4179
O1 0.0009 0.5312 0.4924
O2 0.0321 0.9679 0.5000
O3 0.2071 0.3793 0.7376
O4 0.2114 0.2405 0.9917
O5 0.2307 0.7693 0.0000
O6 0.4688 0.9991 0.5076
O7 0.4793 0.5207 0.5000
O8 0.6082 0.2823 0.2382
O9 0.6207 0.7929 0.2624
O10 0.7177 0.3918 0.7618
O11 0.7595 0.7886 0.0083
O12 0.7821 0.2179 0.0000

* SG: No. 5
* energy of formation from the pure elements: -1.226 eV/atom

This record from the Materials Project describes La2Pd2Pb after structural relaxation. The functional is meta-GGA r2SCAN.

a = 8.0794 Å, b = 8.0794 Å, c = 3.8778 Å
α = 90.00°, β = 90.00°, γ = 90.00°
Atoms (fractional coordinates):
La1 0.1787 0.3213 0.0000
La2 0.3213 0.8213 0.0000
La3 0.6787 0.1787 0.0000
La4 0.8213 0.6787 0.0000
Pd1 0.1229 0.6229 0.5000
Pd2 0.3771 0.1229 0.5000
Pd3 0.6229 0.8771 0.5000
Pd4 0.8771 0.3771 0.5000
Pb1 0.0000 0.0000 0.5000
Pb2 0.5000 0.5000 0.5000

* SG: No. 127
* energy of formation from the pure elements: -0.915 eV/atom